No. 1
# LiFeN (r²SCAN, optimized geometry)
# * symmetry: Pnma
# * E_form: -114 kJ/mol of formula units
# * spin magnetization: 0.0 μB/f.u.
# * uncorrected energy: -9.04 eV per atom
data_LiFeN
_chemical_formula_sum 'Li4 Fe4 N4'
_symmetry_space_group_name_H-M 'P 1'
_symmetry_Int_Tables_number 1
_cell_length_a 9.1906
_cell_length_b 3.0653
_cell_length_c 4.7520
_cell_angle_alpha 90.00
_cell_angle_beta 90.00
_cell_angle_gamma 90.00
loop_
_symmetry_equiv_pos_as_xyz
'x,y,z'
loop_
_atom_site_label
_atom_site_type_symbol
_atom_site_fract_x
_atom_site_fract_y
_atom_site_fract_z
_atom_site_occupancy
Li1 Li 0.0052 0.2500 0.2141 1
Li2 Li 0.4948 0.7500 0.7141 1
Li3 Li 0.5052 0.2500 0.2859 1
Li4 Li 0.9948 0.7500 0.7859 1
Fe1 Fe 0.2440 0.2500 0.9261 1
Fe2 Fe 0.2560 0.7500 0.4261 1
Fe3 Fe 0.7440 0.2500 0.5739 1
Fe4 Fe 0.7560 0.7500 0.0739 1
N1 N 0.1508 0.7500 0.0974 1
N2 N 0.3492 0.2500 0.5974 1
N3 N 0.6508 0.7500 0.4026 1
N4 N 0.8492 0.2500 0.9026 1


No. 2
# Li2Nb2Fe3O10 (r²SCAN, optimized geometry)
# * symmetry: P1
# * E_form: -3565 kJ/mol of formula units
# * spin magnetization: 14.0 μB/f.u.
# * uncorrected energy: -11.42 eV per atom
data_Li2Nb2Fe3O10
_chemical_formula_sum 'Li2 Nb2 Fe3 O10'
_symmetry_space_group_name_H-M 'P 1'
_symmetry_Int_Tables_number 1
_cell_length_a 5.1134
_cell_length_b 5.1913
_cell_length_c 7.9699
_cell_angle_alpha 100.29
_cell_angle_beta 107.83
_cell_angle_gamma 100.62
loop_
_symmetry_equiv_pos_as_xyz
'x,y,z'
loop_
_atom_site_label
_atom_site_type_symbol
_atom_site_fract_x
_atom_site_fract_y
_atom_site_fract_z
_atom_site_occupancy
Li1 Li 0.0000 0.0000 0.0000 1
Li2 Li 0.4527 0.0737 0.6713 1
Nb1 Nb 0.4200 0.6481 0.9412 1
Nb2 Nb 0.9287 0.4873 0.5732 1
Fe1 Fe 0.1943 0.5895 0.2683 1
Fe2 Fe 0.5864 0.2458 0.1500 1
Fe3 Fe 0.7829 0.9033 0.3628 1
O1 O 0.0178 0.7027 0.8138 1
O2 O 0.1397 0.7850 0.4847 1
O3 O 0.2342 0.3656 0.0462 1
O4 O 0.3412 0.4285 0.7076 1
O5 O 0.3811 0.9000 0.1830 1
O6 O 0.5863 0.5412 0.4041 1
O7 O 0.5961 0.0097 0.9297 1
O8 O 0.7579 0.1312 0.5753 1
O9 O 0.7838 0.6290 0.1189 1
O10 O 0.9680 0.2574 0.3230 1


No. 3
# Li5Fe3Ni2O10 (r²SCAN, optimized geometry)
# * symmetry: P-1
# * E_form: -3342 kJ/mol of formula units
# * spin magnetization: 17.0 μB/f.u.
# * uncorrected energy: -8.67 eV per atom
data_Li5Fe3Ni2O10
_chemical_formula_sum 'Li5 Fe3 Ni2 O10'
_symmetry_space_group_name_H-M 'P 1'
_symmetry_Int_Tables_number 1
_cell_length_a 4.9951
_cell_length_b 5.0945
_cell_length_c 7.5837
_cell_angle_alpha 71.31
_cell_angle_beta 72.67
_cell_angle_gamma 81.84
loop_
_symmetry_equiv_pos_as_xyz
'x,y,z'
loop_
_atom_site_label
_atom_site_type_symbol
_atom_site_fract_x
_atom_site_fract_y
_atom_site_fract_z
_atom_site_occupancy
Li1 Li 0.0000 0.0000 0.0000 1
Li2 Li 0.4798 0.8778 0.7299 1
Li3 Li 0.4846 0.2821 0.9130 1
Li4 Li 0.5154 0.7179 0.0870 1
Li5 Li 0.5202 0.1222 0.2701 1
Fe1 Fe 0.0118 0.8177 0.3778 1
Fe2 Fe 0.5000 0.5000 0.5000 1
Fe3 Fe 0.9882 0.1823 0.6222 1
Ni1 Ni 0.0090 0.4036 0.1915 1
Ni2 Ni 0.9910 0.5964 0.8085 1
O1 O 0.2196 0.6286 0.9577 1
O2 O 0.2244 0.8215 0.5704 1
O3 O 0.2391 0.4530 0.3515 1
O4 O 0.2460 0.0463 0.1578 1
O5 O 0.2638 0.2523 0.7328 1
O6 O 0.7362 0.7477 0.2672 1
O7 O 0.7540 0.9537 0.8422 1
O8 O 0.7609 0.5470 0.6485 1
O9 O 0.7756 0.1785 0.4296 1
O10 O 0.7804 0.3714 0.0423 1


No. 4
# LiFeO2 (r²SCAN, optimized geometry)
# * symmetry: R-3m
# * E_form: -732 kJ/mol of formula units
# * spin magnetization: 5.0 μB/f.u.
# * uncorrected energy: -9.08 eV per atom
data_LiFeO2
_chemical_formula_sum 'Li1 Fe1 O2'
_symmetry_space_group_name_H-M 'P 1'
_symmetry_Int_Tables_number 1
_cell_length_a 5.1050
_cell_length_b 5.1050
_cell_length_c 5.1050
_cell_angle_alpha 33.50
_cell_angle_beta 33.50
_cell_angle_gamma 33.50
loop_
_symmetry_equiv_pos_as_xyz
'x,y,z'
loop_
_atom_site_label
_atom_site_type_symbol
_atom_site_fract_x
_atom_site_fract_y
_atom_site_fract_z
_atom_site_occupancy
Li1 Li 0.0000 0.0000 0.0000 1
Fe1 Fe 0.5000 0.5000 0.5000 1
O1 O 0.2443 0.2443 0.2443 1
O2 O 0.7557 0.7557 0.7557 1


No. 5
# Li5Fe4O8 (r²SCAN, optimized geometry)
# * symmetry: R3m
# * E_form: -2983 kJ/mol of formula units
# * spin magnetization: 19.0 μB/f.u.
# * uncorrected energy: -8.72 eV per atom
data_Li5Fe4O8
_chemical_formula_sum 'Li5 Fe4 O8'
_symmetry_space_group_name_H-M 'P 1'
_symmetry_Int_Tables_number 1
_cell_length_a 5.9962
_cell_length_b 5.9962
_cell_length_c 5.9962
_cell_angle_alpha 59.26
_cell_angle_beta 59.26
_cell_angle_gamma 59.26
loop_
_symmetry_equiv_pos_as_xyz
'x,y,z'
loop_
_atom_site_label
_atom_site_type_symbol
_atom_site_fract_x
_atom_site_fract_y
_atom_site_fract_z
_atom_site_occupancy
Li1 Li 0.0000 0.0000 0.0000 1
Li2 Li 0.3630 0.3630 0.3630 1
Li3 Li 0.4207 0.8352 0.8352 1
Li4 Li 0.8352 0.4207 0.8352 1
Li5 Li 0.8352 0.8352 0.4207 1
Fe1 Fe 0.3620 0.3620 0.8638 1
Fe2 Fe 0.3620 0.8638 0.3620 1
Fe3 Fe 0.8495 0.8495 0.8495 1
Fe4 Fe 0.8638 0.3620 0.3620 1
O1 O 0.1012 0.1012 0.6147 1
O2 O 0.1012 0.6147 0.1012 1
O3 O 0.1159 0.6137 0.6137 1
O4 O 0.1203 0.1203 0.1203 1
O5 O 0.6069 0.6069 0.6069 1
O6 O 0.6137 0.1159 0.6137 1
O7 O 0.6137 0.6137 0.1159 1
O8 O 0.6147 0.1012 0.1012 1


No. 6
# LiFeO2 (r²SCAN, optimized geometry)
# * symmetry: Pmmn
# * E_form: -726 kJ/mol of formula units
# * spin magnetization: 5.0 μB/f.u.
# * uncorrected energy: -9.07 eV per atom
data_LiFeO2
_chemical_formula_sum 'Li2 Fe2 O4'
_symmetry_space_group_name_H-M 'P 1'
_symmetry_Int_Tables_number 1
_cell_length_a 2.9391
_cell_length_b 4.0845
_cell_length_c 6.0060
_cell_angle_alpha 90.00
_cell_angle_beta 90.00
_cell_angle_gamma 90.00
loop_
_symmetry_equiv_pos_as_xyz
'x,y,z'
loop_
_atom_site_label
_atom_site_type_symbol
_atom_site_fract_x
_atom_site_fract_y
_atom_site_fract_z
_atom_site_occupancy
Li1 Li 0.2500 0.2500 0.1051 1
Li2 Li 0.7500 0.7500 0.8949 1
Fe1 Fe 0.2500 0.2500 0.6456 1
Fe2 Fe 0.7500 0.7500 0.3544 1
O1 O 0.2500 0.7500 0.1396 1
O2 O 0.2500 0.7500 0.6057 1
O3 O 0.7500 0.2500 0.3943 1
O4 O 0.7500 0.2500 0.8604 1


No. 7
# LiFeO2 (r²SCAN, optimized geometry)
# * symmetry: Fd-3m
# * E_form: -734 kJ/mol of formula units
# * spin magnetization: 5.0 μB/f.u.
# * uncorrected energy: -9.09 eV per atom
data_LiFeO2
_chemical_formula_sum 'Li4 Fe4 O8'
_symmetry_space_group_name_H-M 'P 1'
_symmetry_Int_Tables_number 1
_cell_length_a 5.8873
_cell_length_b 5.8873
_cell_length_c 5.8873
_cell_angle_alpha 60.00
_cell_angle_beta 60.00
_cell_angle_gamma 60.00
loop_
_symmetry_equiv_pos_as_xyz
'x,y,z'
loop_
_atom_site_label
_atom_site_type_symbol
_atom_site_fract_x
_atom_site_fract_y
_atom_site_fract_z
_atom_site_occupancy
Li1 Li 0.0000 0.0000 0.0000 1
Li2 Li 0.0000 0.0000 0.5000 1
Li3 Li 0.0000 0.5000 0.0000 1
Li4 Li 0.5000 0.0000 0.0000 1
Fe1 Fe 0.0000 0.5000 0.5000 1
Fe2 Fe 0.5000 0.0000 0.5000 1
Fe3 Fe 0.5000 0.5000 0.0000 1
Fe4 Fe 0.5000 0.5000 0.5000 1
O1 O 0.2556 0.2556 0.2556 1
O2 O 0.2556 0.2556 0.7331 1
O3 O 0.2556 0.7331 0.2556 1
O4 O 0.2669 0.7444 0.7444 1
O5 O 0.7331 0.2556 0.2556 1
O6 O 0.7444 0.2669 0.7444 1
O7 O 0.7444 0.7444 0.2669 1
O8 O 0.7444 0.7444 0.7444 1


No. 8
# LiFeP2O7 (r²SCAN, optimized geometry)
# * symmetry: P2_1
# * E_form: -2468 kJ/mol of formula units
# * spin magnetization: 5.0 μB/f.u.
# * uncorrected energy: -9.29 eV per atom
data_LiFeP2O7
_chemical_formula_sum 'Li2 Fe2 P4 O14'
_symmetry_space_group_name_H-M 'P 1'
_symmetry_Int_Tables_number 1
_cell_length_a 4.8276
_cell_length_b 8.0770
_cell_length_c 6.9616
_cell_angle_alpha 90.00
_cell_angle_beta 109.46
_cell_angle_gamma 90.00
loop_
_symmetry_equiv_pos_as_xyz
'x,y,z'
loop_
_atom_site_label
_atom_site_type_symbol
_atom_site_fract_x
_atom_site_fract_y
_atom_site_fract_z
_atom_site_occupancy
Li1 Li 0.1729 0.0000 0.1646 1
Li2 Li 0.8271 0.5000 0.8354 1
Fe1 Fe 0.2195 0.6412 0.2345 1
Fe2 Fe 0.7805 0.1412 0.7655 1
P1 P 0.2055 0.9262 0.5808 1
P2 P 0.4031 0.3210 0.0246 1
P3 P 0.5969 0.8210 0.9754 1
P4 P 0.7945 0.4262 0.4192 1
O1 O 0.0637 0.4661 0.3646 1
O2 O 0.1325 0.8385 0.3773 1
O3 O 0.1910 0.1767 0.9819 1
O4 O 0.2468 0.4862 0.0125 1
O5 O 0.3910 0.0790 0.5851 1
O6 O 0.3949 0.8220 0.1013 1
O7 O 0.3973 0.7941 0.7422 1
O8 O 0.6027 0.2941 0.2578 1
O9 O 0.6051 0.3220 0.8987 1
O10 O 0.6090 0.5790 0.4149 1
O11 O 0.7532 0.9862 0.9875 1
O12 O 0.8090 0.6767 0.0181 1
O13 O 0.8675 0.3385 0.6227 1
O14 O 0.9363 0.9661 0.6354 1